Entry from the Materials Project: crystalline Li2VCrP4O14 at its relaxed geometry (PBE with a Hubbard U).

Unit cell a=7.0218 b=8.2233 c=14.0394 alpha=90.06 beta=99.57 gamma=90.08
Closest atoms and distances in Å follow each position.
Sites, in units of the cell vectors:
O: 0.2470 0.0365 0.7290  1 P 1.53
O: 0.8307 0.3224 0.6838  1 P 1.52
O: 0.9130 0.0372 0.3955  1 P 1.53
O: 0.4743 0.1785 0.8676  1 P 1.53
O: 0.1680 0.8234 0.3165  1 P 1.52
O: 0.7559 0.8440 0.2506  1 P 1.53
O: 0.8402 0.1930 0.9562  1 P 1.53
O: 0.5730 0.3462 0.0824  1 P 1.54
O: 0.2843 0.4348 0.1999  1 P 1.53
O: 0.1115 0.1516 0.8647  2 P 1.62-1.63
O: 0.1408 0.1787 0.5343  1 P 1.53
O: 0.1598 0.6931 0.0436  1 P 1.53
O: 0.1939 0.6796 0.7998  1 P 1.54
O: 0.0936 0.8461 0.5841  1 P 1.54
O: 0.7537 0.5369 0.2708  1 P 1.54
O: 0.4987 0.3234 0.3501  1 P 1.52
O: 0.0869 0.5385 0.6048  1 P 1.53
O: 0.8365 0.8233 0.9820  1 P 1.52
O: 0.4923 0.6969 0.3769  1 P 1.52
O: 0.4447 0.1519 0.1982  2 P 1.61-1.63
O: 0.0516 0.9335 0.1319  1 P 1.54
O: 0.7780 0.1517 0.5316  2 P 1.62
O: 0.5553 0.6520 0.8017  2 P 1.61-1.64
O: 0.7156 0.9351 0.8000  1 P 1.53
O: 0.4269 0.8462 0.9176  1 P 1.54
O: 0.6147 0.4332 0.5346  1 P 1.54
O: 0.1743 0.1970 0.2897  1 P 1.52
O: 0.2220 0.6520 0.4682  2 P 1.61-1.63
O: 0.5063 0.1928 0.6230  1 P 1.53
O: 0.8251 0.6971 0.7101  1 P 1.53
O: 0.1635 0.3231 0.0179  1 P 1.52
O: 0.5802 0.0380 0.0619  1 P 1.53
O: 0.5256 0.6784 0.1323  1 P 1.53
O: 0.5018 0.8241 0.6490  1 P 1.52
O: 0.8885 0.6518 0.1348  2 P 1.62-1.63
O: 0.8607 0.6797 0.4662  1 P 1.53
O: 0.9104 0.3442 0.4161  1 P 1.53
O: 0.4198 0.5380 0.9380  1 P 1.53
O: 0.2442 0.3441 0.7493  1 P 1.53
O: 0.8059 0.1798 0.2002  1 P 1.53
O: 0.3827 0.9349 0.4668  1 P 1.53
O: 0.9488 0.4333 0.8681  1 P 1.54
V: 0.0095 0.4997 0.7391  6 O 1.99-2.08
V: 0.6764 0.4996 0.4053  6 O 1.98-2.07
V: 0.9901 0.9995 0.2612  6 O 1.99-2.07
P: 0.3903 0.6806 0.8669  4 O 1.53-1.61
P: 0.6099 0.1807 0.1329  4 O 1.53-1.61
P: 0.3478 0.2849 0.2618  4 O 1.52-1.63
P: 0.6509 0.7857 0.7374  4 O 1.52-1.64
P: 0.0568 0.6808 0.5333  4 O 1.53-1.61
P: 0.7211 0.6796 0.1995  4 O 1.53-1.62
P: 0.6805 0.2823 0.5958  4 O 1.52-1.62
P: 0.9848 0.7831 0.0702  4 O 1.52-1.63
P: 0.3190 0.7851 0.4046  4 O 1.52-1.63
P: 0.0154 0.2827 0.9296  4 O 1.52-1.63
P: 0.2790 0.1795 0.8000  4 O 1.53-1.62
P: 0.9456 0.1798 0.4670  4 O 1.53-1.62
Li: 0.2842 0.3626 0.6079  4 O 2.00-2.08
Li: 0.6172 0.3629 0.9409  4 O 2.00-2.08
Li: 0.3828 0.8628 0.0590  4 O 1.99-2.08
Li: 0.7154 0.8629 0.3920  4 O 1.99-2.06
Li: 0.0489 0.8632 0.7257  4 O 1.99-2.07
Li: 0.9513 0.3629 0.2745  4 O 1.99-2.06
Cr: 0.6565 0.0000 0.9286  6 O 1.99-2.05
Cr: 0.3434 0.5000 0.0712  6 O 1.99-2.05
Cr: 0.3227 0.0000 0.5956  6 O 1.98-2.05

total moment: 15.000 μB/cell
E (MP2020): -172.95 eV per formula unit
ΔE_f: -59.470 eV per formula unit

Entry from the Materials Project: crystalline Li2VCrP4O14 at its relaxed geometry (PBE with a Hubbard U).

Unit cell a=8.2214 b=7.1513 c=9.7423 alpha=68.54 beta=90.00 gamma=90.00
Closest atoms and distances in Å follow each position.
Sites, in units of the cell vectors:
O: 0.4632 0.4813 0.8523  1 P 1.53
O: 0.4615 0.4825 0.3517  1 P 1.53
O: 0.0651 0.9157 0.3420  1 P 1.53
O: 0.8218 0.6058 0.8957  1 P 1.54
O: 0.9615 0.5175 0.6483  1 P 1.53
O: 0.8484 0.2471 0.0794  2 P 1.62-1.63
O: 0.3218 0.3942 0.1043  1 P 1.54
O: 0.6764 0.1490 0.4006  1 P 1.52
O: 0.8483 0.2461 0.5793  2 P 1.61-1.63
O: 0.3026 0.1156 0.3772  1 P 1.52
O: 0.5667 0.0804 0.1579  1 P 1.54
O: 0.3075 0.1154 0.8764  1 P 1.53
O: 0.6538 0.4901 0.6303  1 P 1.54
O: 0.1558 0.5048 0.8710  1 P 1.53
O: 0.8202 0.6065 0.3963  1 P 1.53
O: 0.9632 0.5187 0.1477  1 P 1.53
O: 0.5651 0.0843 0.6580  1 P 1.53
O: 0.1768 0.8545 0.0996  1 P 1.52
O: 0.8075 0.8846 0.1236  1 P 1.53
O: 0.3484 0.7529 0.9206  2 P 1.62-1.63
O: 0.3483 0.7539 0.4207  2 P 1.61-1.63
O: 0.0667 0.9196 0.8421  1 P 1.54
O: 0.8026 0.8844 0.6228  1 P 1.52
O: 0.3202 0.3935 0.6037  1 P 1.53
O: 0.1764 0.8510 0.5994  1 P 1.52
O: 0.6768 0.1455 0.9004  1 P 1.52
O: 0.6558 0.4952 0.1290  1 P 1.53
O: 0.1538 0.5099 0.3697  1 P 1.54
P: 0.7151 0.0860 0.5641  4 O 1.52-1.63
P: 0.8194 0.4771 0.5609  4 O 1.53-1.61
P: 0.7172 0.0858 0.0628  4 O 1.52-1.63
P: 0.2151 0.9140 0.4359  4 O 1.52-1.63
P: 0.8203 0.4785 0.0613  4 O 1.53-1.62
P: 0.2172 0.9142 0.9372  4 O 1.52-1.63
P: 0.3203 0.5215 0.9387  4 O 1.53-1.62
P: 0.3194 0.5229 0.4391  4 O 1.53-1.61
Li: 0.1370 0.3235 0.2497  4 O 1.99-2.07
Li: 0.6372 0.6767 0.2500  4 O 2.00-2.08
Li: 0.1372 0.3233 0.7500  4 O 2.00-2.08
Li: 0.6370 0.6765 0.7503  4 O 1.99-2.07
V: 0.0004 0.7293 0.7435  6 O 1.98-2.07
V: 0.5004 0.2707 0.2565  6 O 1.98-2.07
Cr: 0.9999 0.7278 0.2432  6 O 1.99-2.05
Cr: 0.4999 0.2722 0.7568  6 O 1.99-2.05

total moment: 10.000 μB/cell
E (MP2020): -172.95 eV per formula unit
ΔE_f: -59.467 eV per formula unit

Entry from the Materials Project: crystalline Li2VCrP4O14 at its relaxed geometry (PBE with a Hubbard U).

Unit cell a=8.2278 b=7.0272 c=9.7341 alpha=71.21 beta=90.00 gamma=90.00
Closest atoms and distances in Å follow each position.
Sites, in units of the cell vectors:
Li: 0.3630 0.3232 0.3385  4 O 1.99-2.07
Li: 0.3628 0.3236 0.8383  4 O 2.00-2.08
Li: 0.8628 0.6764 0.1617  4 O 2.00-2.08
Li: 0.8630 0.6768 0.6615  4 O 1.99-2.07
O: 0.6969 0.8851 0.6850  1 P 1.52
O: 0.3242 0.8524 0.2230  1 P 1.52
O: 0.6933 0.8833 0.1842  1 P 1.53
O: 0.5365 0.5182 0.3433  1 P 1.53
O: 0.4349 0.9173 0.4483  1 P 1.54
O: 0.9349 0.0827 0.5517  1 P 1.54
O: 0.1514 0.7540 0.9528  2 P 1.61-1.63
O: 0.6783 0.6059 0.5515  1 P 1.54
O: 0.1783 0.3941 0.4485  1 P 1.54
O: 0.1797 0.3939 0.9494  1 P 1.53
O: 0.8440 0.4957 0.3731  1 P 1.53
O: 0.8242 0.1476 0.7770  1 P 1.52
O: 0.1524 0.7532 0.4528  2 P 1.61-1.63
O: 0.8223 0.1466 0.2755  1 P 1.52
O: 0.5383 0.5181 0.8430  1 P 1.53
O: 0.0383 0.4819 0.1570  1 P 1.53
O: 0.0365 0.4818 0.6567  1 P 1.53
O: 0.1969 0.1149 0.3150  1 P 1.52
O: 0.6797 0.6061 0.0506  1 P 1.53
O: 0.1933 0.1167 0.8158  1 P 1.53
O: 0.6524 0.2468 0.5472  2 P 1.61-1.63
O: 0.3440 0.5043 0.6269  1 P 1.53
O: 0.9336 0.0824 0.0507  1 P 1.53
O: 0.3223 0.8534 0.7245  1 P 1.52
O: 0.6514 0.2460 0.0472  2 P 1.61-1.63
O: 0.3460 0.5094 0.1256  1 P 1.54
O: 0.4336 0.9176 0.9493  1 P 1.53
O: 0.8460 0.4906 0.8744  1 P 1.54
P: 0.7846 0.0865 0.6449  4 O 1.52-1.63
P: 0.2846 0.9135 0.3551  4 O 1.52-1.63
P: 0.6806 0.4772 0.9504  4 O 1.53-1.61
P: 0.1798 0.5216 0.5504  4 O 1.53-1.61
P: 0.7831 0.0848 0.1430  4 O 1.52-1.63
P: 0.6798 0.4784 0.4496  4 O 1.53-1.61
P: 0.1806 0.5228 0.0496  4 O 1.53-1.61
P: 0.2831 0.9152 0.8570  4 O 1.52-1.63
V: 0.4995 0.7293 0.6419  6 O 1.99-2.08
V: 0.9995 0.2707 0.3581  6 O 1.99-2.08
Cr: 0.5002 0.7273 0.1426  6 O 1.98-2.05
Cr: 0.0002 0.2727 0.8574  6 O 1.98-2.05

total moment: 10.000 μB/cell
E (MP2020): -172.94 eV per formula unit
ΔE_f: -59.463 eV per formula unit

Entry from the Materials Project: crystalline Li3VCrP4O14 at its relaxed geometry (PBE with a Hubbard U).

Unit cell a=5.0017 b=7.0603 c=8.3333 alpha=89.51 beta=90.42 gamma=71.24
Closest atoms and distances in Å follow each position.
Sites, in units of the cell vectors:
Li: 0.8249 0.6644 0.3530  4 O 1.96-2.07
Li: 0.7263 0.0921 0.6608  4 O 1.95-2.10
Li: 0.1756 0.3419 0.8588  4 O 1.98-2.17
O: 0.8431 0.8842 0.1912  1 P 1.54
O: 0.6228 0.0736 0.4373  1 P 1.55
O: 0.1304 0.1093 0.7026  1 P 1.54
O: 0.7683 0.5175 0.8442  1 P 1.54
O: 0.1891 0.5273 0.0340  1 P 1.55
O: 0.6118 0.5938 0.1726  1 P 1.54
O: 0.5667 0.2450 0.1570  2 P 1.62-1.64
O: 0.7993 0.5015 0.5408  1 P 1.52
O: 0.3780 0.7448 0.6652  2 P 1.62
O: 0.0397 0.1450 0.3078  1 P 1.50
O: 0.2433 0.5083 0.3385  1 P 1.52
O: 0.9319 0.8728 0.8327  1 P 1.54
O: 0.4474 0.3706 0.6907  1 P 1.54
O: 0.4040 0.9056 0.9380  1 P 1.52
P: 0.6076 0.5242 0.6846  4 O 1.52-1.62
P: 0.3959 0.4802 0.1788  4 O 1.52-1.62
P: 0.7816 0.0834 0.2805  4 O 1.50-1.64
P: 0.2125 0.9091 0.7952  4 O 1.52-1.62
V: 0.2071 0.2761 0.4924  6 O 2.10-2.26
Cr: 0.7870 0.7247 0.0044  6 O 2.00-2.06

total moment: 5.999 μB/cell
E (MP2020): -176.80 eV per formula unit
ΔE_f: -61.408 eV per formula unit